Record 1
# Tc3Ge (PBE, relaxed)
data_Tc3Ge
_cell_length_a 6.155
_cell_length_b 6.155
_cell_length_c 6.155
_cell_angle_alpha 90.00
_cell_angle_beta 90.00
_cell_angle_gamma 90.00
_symmetry_space_group_name_H-M 'F m -3 m'
_symmetry_Int_Tables_number 225
_symmetry_space_group_name_Hall '-F 4 2 3'
loop_
_atom_site_label
_atom_site_fract_x
_atom_site_fract_y
_atom_site_fract_z
Tc1 0.000 0.000 0.000
Tc2 0.250 0.250 0.250
Ge1 0.000 0.000 0.500
# **Total energy**: -8.864 eV per atom
# **Formation energy**: 0.062 eV/atom

Record 2
# Tc3Ge (PBE, relaxed)
data_Tc3Ge
_cell_length_a 5.4741
_cell_length_b 5.4741
_cell_length_c 4.4787
_cell_angle_alpha 90.00
_cell_angle_beta 90.00
_cell_angle_gamma 120.00
_symmetry_space_group_name_H-M 'P 63/m m c'
_symmetry_Int_Tables_number 194
_symmetry_space_group_name_Hall '-P 6c 2c'
loop_
_atom_site_label
_atom_site_fract_x
_atom_site_fract_y
_atom_site_fract_z
Tc1 0.1696 0.3393 0.2500
Ge1 0.3333 0.6667 0.7500
# **Magnetic moment**: 0.03 μB/cell
# **Total energy**: -8.862 eV per atom
# **Formation energy**: 0.064 eV/atom

Record 3
# GeTe (PBE, relaxed)
data_GeTe
_cell_length_a 6.009
_cell_length_b 6.009
_cell_length_c 6.009
_cell_angle_alpha 90.00
_cell_angle_beta 90.00
_cell_angle_gamma 90.00
_symmetry_space_group_name_H-M 'F m -3 m'
_symmetry_Int_Tables_number 225
_symmetry_space_group_name_Hall '-F 4 2 3'
loop_
_atom_site_label
_atom_site_fract_x
_atom_site_fract_y
_atom_site_fract_z
Ge1 0.000 0.000 0.000
Te1 0.000 0.000 0.500
# **Magnetic moment**: 0.00 μB/cell
# **Total energy**: -3.955 eV per atom
# **Formation energy**: -0.283 eV/atom
# **Corrected total energy (MP2020 scheme)**: -4.166 eV/atom

Record 4
# GeTe (PBE, relaxed)
data_GeTe
_cell_length_a 4.2307
_cell_length_b 4.2307
_cell_length_c 10.8896
_cell_angle_alpha 90.00
_cell_angle_beta 90.00
_cell_angle_gamma 120.00
_symmetry_space_group_name_H-M 'R 3 m'
_symmetry_Int_Tables_number 160
_symmetry_space_group_name_Hall 'R 3 -2"'
loop_
_atom_site_label
_atom_site_fract_x
_atom_site_fract_y
_atom_site_fract_z
Ge1 0.0000 0.0000 0.0000
Te1 0.0000 0.0000 0.4691
# **Largest piezoelectric modulus**: 3.85 C/m²
# **Total energy**: -3.975 eV per atom
# **Formation energy**: -0.303 eV/atom
# **Corrected total energy (MP2020 scheme)**: -4.186 eV/atom

Record 5
# Ge3Te (PBE, relaxed)
data_Ge3Te
_cell_length_a 4.124
_cell_length_b 4.124
_cell_length_c 10.736
_cell_angle_alpha 90.00
_cell_angle_beta 90.00
_cell_angle_gamma 90.00
_symmetry_space_group_name_H-M 'I 4/m m m'
_symmetry_Int_Tables_number 139
_symmetry_space_group_name_Hall '-I 4 2'
loop_
_atom_site_label
_atom_site_fract_x
_atom_site_fract_y
_atom_site_fract_z
Ge1 0.000 0.000 0.000
Ge2 0.000 0.500 0.250
Te1 0.000 0.000 0.500
# **Magnetic moment**: 0.00 μB/cell
# **Total energy**: -3.895 eV per atom
# **Formation energy**: 0.252 eV/atom
# **Corrected total energy (MP2020 scheme)**: -4.001 eV/atom

Record 6
# GeTe (PBE, relaxed)
data_GeTe
_cell_length_a 3.704
_cell_length_b 3.704
_cell_length_c 3.704
_cell_angle_alpha 90.00
_cell_angle_beta 90.00
_cell_angle_gamma 90.00
_symmetry_space_group_name_H-M 'P m -3 m'
_symmetry_Int_Tables_number 221
_symmetry_space_group_name_Hall '-P 4 2 3'
loop_
_atom_site_label
_atom_site_fract_x
_atom_site_fract_y
_atom_site_fract_z
Ge1 0.000 0.000 0.000
Te1 0.500 0.500 0.500
# **Magnetic moment**: 0.01 μB/cell
# **Total energy**: -3.650 eV per atom
# **Formation energy**: 0.022 eV/atom
# **Corrected total energy (MP2020 scheme)**: -3.861 eV/atom

Record 7
# GeTe (PBE, relaxed)
data_GeTe
_cell_length_a 11.810
_cell_length_b 4.196
_cell_length_c 4.641
_cell_angle_alpha 90.00
_cell_angle_beta 90.00
_cell_angle_gamma 90.00
_symmetry_space_group_name_H-M 'P n m a'
_symmetry_Int_Tables_number 62
loop_
_symmetry_equiv_pos_as_xyz
'x,y,z'
'-x,-y,-z'
'-x+1/2,-y,z+1/2'
'x+1/2,y,-z+1/2'
'x+1/2,-y+1/2,-z+1/2'
'-x+1/2,y+1/2,z+1/2'
'-x,y+1/2,-z'
'x,-y+1/2,z'
loop_
_atom_site_label
_atom_site_fract_x
_atom_site_fract_y
_atom_site_fract_z
Ge1 0.122 0.250 0.108
Te1 0.146 0.750 0.506
# **Total energy**: -3.927 eV per atom
# **Formation energy**: -0.255 eV/atom
# **Corrected total energy (MP2020 scheme)**: -4.138 eV/atom

Record 8
# GeTe (PBE, relaxed)
data_GeTe
_cell_length_a 5.1117
_cell_length_b 5.1117
_cell_length_c 8.7896
_cell_angle_alpha 90.00
_cell_angle_beta 90.00
_cell_angle_gamma 120.00
_symmetry_space_group_name_H-M 'R 3 m'
_symmetry_Int_Tables_number 160
_symmetry_space_group_name_Hall 'R 3 -2"'
loop_
_atom_site_label
_atom_site_fract_x
_atom_site_fract_y
_atom_site_fract_z
Ge1 0.0000 0.0000 0.0000
Te1 0.0000 0.0000 0.6851
# **Magnetic moment**: 0.00 μB/cell
# **Total energy**: -3.850 eV per atom
# **Formation energy**: -0.178 eV/atom
# **Corrected total energy (MP2020 scheme)**: -4.061 eV/atom